VASP calculation (PBE) on a relaxed structure of SrCaCu2O4.

abc: 5.5352 5.5352 6.6973
angles: 90.00 90.00 90.00
With the nearest neighbours (Å) after each atom.
Positions (direct):
Sr  0.0000  0.0000  0.0000  8 O 2.58
Sr  0.5000  0.5000  0.5000  8 O 2.58
Ca  0.0000  0.0000  0.5000  8 O 2.58
Ca  0.5000  0.5000  0.0000  8 O 2.58
Cu  0.0000  0.5000  0.2500  4 O 1.96
Cu  0.0000  0.5000  0.7500  4 O 1.96
Cu  0.5000  0.0000  0.2500  4 O 1.96
Cu  0.5000  0.0000  0.7500  4 O 1.96
O  0.2500  0.2500  0.2500  2 Cu 1.96
O  0.2500  0.2500  0.7500  2 Cu 1.96
O  0.2500  0.7500  0.2500  2 Cu 1.96
O  0.2500  0.7500  0.7500  2 Cu 1.96
O  0.7500  0.2500  0.2500  2 Cu 1.96
O  0.7500  0.2500  0.7500  2 Cu 1.96
O  0.7500  0.7500  0.2500  2 Cu 1.96
O  0.7500  0.7500  0.7500  2 Cu 1.96

Its symmetry is I4/mmm, No. 139. Its raw total energy is -5.70 eV per atom. Its formation energy is -2083 meV/atom.